24
Lattice="7.879 0.000 0.000 0.000 13.767 0.000 0.000 0.000 14.172" Properties=species:S:1:pos:R:3 comment="CeSe2 | the Materials Project database | PBE | optimized geometry" space_group=Pccn delta_e_f_mev_per_atom=-1399 energy_corrected_mp2020_ev_per_atom=-5.707 vol_a3_per_atom=64.0 pbc="T T T"
Se 0.000 6.883 7.086
Se 7.306 6.205 11.391
Se 0.573 7.562 2.780
Se 4.512 6.205 4.305
Se 0.000 0.000 0.000
Se 3.939 6.883 0.000
Se 1.970 3.442 1.955
Se 1.970 3.442 9.041
Se 0.573 13.088 9.866
Se 3.939 0.000 7.086
Se 3.367 13.088 2.780
Se 3.367 7.562 9.866
Se 7.306 0.678 4.305
Se 4.512 0.678 11.391
Se 5.909 10.325 5.131
Se 5.909 10.325 12.217
Ce 2.739 0.862 9.351
Ce 6.678 12.904 11.906
Ce 5.140 7.746 11.906
Ce 1.200 0.862 2.266
Ce 5.140 12.904 4.820
Ce 2.739 6.021 2.266
Ce 1.200 6.021 9.351
Ce 6.678 7.746 4.820